Record 1
An optimized crystal structure of UGa5Pt, computed with PBE.

Lattice parameters (Å, degrees): 4.3569 4.3569 6.8363 90.00 90.00 90.00
Sites, in units of the cell vectors:
U 0.0000 0.0000 0.0000
Ga 0.5000 0.5000 0.0000
Ga 0.5000 0.0000 0.7065
Ga 0.0000 0.5000 0.7065
Ga 0.5000 0.0000 0.2935
Ga 0.0000 0.5000 0.2935
Pt 0.0000 0.0000 0.5000

space-group type = No. 123
energy relative to the elements = -299 kJ/mol of formula units

---

Record 2
An optimized crystal structure of Sr5Cr2N6, computed with PBE.

Lattice parameters (Å, degrees): 6.1157 6.6097 13.6229 90.00 99.69 122.71
Sites, in units of the cell vectors:
Sr 0.1387 0.8068 0.9948
Sr 0.8613 0.6681 0.5052
Sr 0.8613 0.1932 0.0052
Sr 0.1387 0.3319 0.4948
Sr 0.3144 0.0732 0.7186
Sr 0.6856 0.7588 0.7814
Sr 0.6856 0.9268 0.2814
Sr 0.3144 0.2412 0.2186
Sr 0.0000 0.3920 0.7500
Sr 0.0000 0.6080 0.2500
Cr 0.5506 0.9145 0.5717
Cr 0.4494 0.3639 0.9283
Cr 0.4494 0.0855 0.4283
Cr 0.5506 0.6361 0.0717
N 0.8750 0.9952 0.6261
N 0.1250 0.1202 0.8739
N 0.1250 0.0048 0.3739
N 0.8750 0.8798 0.1261
N 0.3051 0.6994 0.6383
N 0.6949 0.3943 0.8617
N 0.6949 0.3006 0.3617
N 0.3051 0.6057 0.1383
N 0.5469 0.2014 0.5642
N 0.4531 0.6545 0.9358
N 0.4531 0.7986 0.4358
N 0.5469 0.3455 0.0642

space-group type = No. 15
total magnetic moment = 2.00 μB per formula unit
energy relative to the elements = -1222 kJ/mol of formula units

---

Record 3
An optimized crystal structure of ErCr2Si2C, computed with PBE.

Lattice parameters (Å, degrees): 3.9599 3.9599 5.2068 90.00 90.00 90.00
Sites, in units of the cell vectors:
Er 0.0000 0.0000 0.5000
Cr 0.0000 0.5000 0.0000
Cr 0.5000 0.0000 0.0000
Si 0.5000 0.5000 0.2704
Si 0.5000 0.5000 0.7296
C 0.0000 0.0000 0.0000

space-group type = No. 123
total magnetic moment = 1.26 μB per formula unit
energy relative to the elements = -263 kJ/mol of formula units

---

Record 4
An optimized crystal structure of Dy6MnSi2S14, computed with PBE.

Lattice parameters (Å, degrees): 9.9225 9.9225 5.6152 90.00 90.00 120.00
Sites, in units of the cell vectors:
Dy 0.9773 0.4332 0.7505
Dy 0.4559 0.0227 0.7505
Dy 0.5668 0.5441 0.7505
Dy 0.6891 0.8999 0.2500
Dy 0.2108 0.3109 0.2500
Dy 0.1001 0.7892 0.2500
Mn 0.3333 0.6667 0.5119
Si 0.6667 0.3333 0.1651
Si 0.0000 0.0000 0.6629
S 0.6667 0.3333 0.5406
S 0.0000 0.0000 0.0387
S 0.0846 0.5045 0.2725
S 0.4199 0.9154 0.2725
S 0.4955 0.5801 0.2725
S 0.5820 0.8308 0.7561
S 0.2488 0.4180 0.7561
S 0.1692 0.7512 0.7561
S 0.8142 0.5590 0.0139
S 0.7447 0.1858 0.0139
S 0.4410 0.2553 0.0139
S 0.8529 0.7743 0.5119
S 0.9215 0.1471 0.5119
S 0.2257 0.0785 0.5119

space-group type = No. 143
total magnetic moment = 5.00 μB per formula unit
energy relative to the elements = -4198 kJ/mol of formula units

---

Record 5
An optimized crystal structure of BaSrCeBiO6, computed with PBE.

Lattice parameters (Å, degrees): 8.7724 8.7906 8.7776 90.00 90.00 90.00
Sites, in units of the cell vectors:
Ba 0.0000 0.0000 0.0000
Ba 0.5000 0.5000 0.5000
Ba 0.5000 0.5000 0.0000
Ba 0.0000 0.5000 0.0000
Sr 0.0000 0.5000 0.5000
Sr 0.5000 0.0000 0.5000
Sr 0.5000 0.0000 0.0000
Sr 0.0000 0.0000 0.5000
Ce 0.2504 0.2466 0.2526
Ce 0.7496 0.7534 0.2526
Ce 0.7496 0.2466 0.7474
Ce 0.2504 0.7534 0.7474
Bi 0.7498 0.7529 0.7475
Bi 0.2502 0.2471 0.7475
Bi 0.2502 0.7529 0.2525
Bi 0.7498 0.2471 0.2525
O 0.0014 0.2026 0.2905
O 0.9986 0.7974 0.2905
O 0.9986 0.2026 0.7095
O 0.0014 0.7974 0.7095
O 0.2900 0.0006 0.2056
O 0.2900 0.9994 0.7944
O 0.7100 0.9994 0.2056
O 0.7100 0.0006 0.7944
O 0.2157 0.2788 0.0019
O 0.7843 0.2788 0.9981
O 0.2157 0.7212 0.9981
O 0.7843 0.7212 0.0019
O 0.4986 0.2869 0.2229
O 0.5014 0.7131 0.2229
O 0.5014 0.2869 0.7771
O 0.4986 0.7131 0.7771
O 0.2118 0.4986 0.2953
O 0.2118 0.5014 0.7047
O 0.7882 0.5014 0.2953
O 0.7882 0.4986 0.7047
O 0.2943 0.2067 0.4989
O 0.7057 0.2067 0.5011
O 0.2943 0.7933 0.5011
O 0.7057 0.7933 0.4989

space-group type = No. 16
total magnetic moment = 0.00 μB per formula unit
energy relative to the elements = -2785 kJ/mol of formula units
energy above the lowest structure with this stoichiometry = 0.018 eV/atom

---

Record 6
An optimized crystal structure of Ag2Se, computed with PBE.

Lattice parameters (Å, degrees): 4.6926 7.3678 7.7912 90.00 90.00 90.00
Sites, in units of the cell vectors:
Ag 0.9994 0.3661 0.4574
Ag 0.5009 0.8312 0.2875
Ag 0.4991 0.3312 0.2125
Ag 0.0006 0.8661 0.0426
Ag 0.4994 0.1339 0.5426
Ag 0.0009 0.6688 0.7125
Ag 0.9991 0.1688 0.7875
Ag 0.5006 0.6339 0.9574
Se 0.5006 0.0427 0.0146
Se 0.4994 0.5427 0.4854
Se 0.0006 0.4573 0.9854
Se 0.9994 0.9573 0.5146

space-group type = No. 19
energy relative to the elements = -64 kJ/mol of formula units

---

Record 7
An optimized crystal structure of PuNi, computed with PBE.

Lattice parameters (Å, degrees): 5.5166 5.5166 3.9834 90.00 90.00 140.36
Sites, in units of the cell vectors:
Pu 0.1452 0.8548 0.7500
Pu 0.8548 0.1452 0.2500
Ni 0.4294 0.5706 0.7500
Ni 0.5706 0.4294 0.2500

space-group type = No. 63
energy relative to the elements = -26 kJ/mol of formula units

---

Record 8
An optimized crystal structure of Na2CuH4O4, computed with PBE.

Lattice parameters (Å, degrees): 6.7343 6.7395 9.0618 90.00 90.00 90.00
Sites, in units of the cell vectors:
Na 0.7915 0.0015 0.7489
Na 0.2085 0.9985 0.2489
Na 0.2915 0.4985 0.2489
Na 0.7085 0.5015 0.7489
Na 0.4961 0.7516 0.4982
Na 0.5039 0.2484 0.9982
Na 0.9961 0.7484 0.9982
Na 0.0039 0.2516 0.4982
Cu 0.4969 0.7639 0.9994
Cu 0.5031 0.2361 0.4994
Cu 0.9969 0.7361 0.4994
Cu 0.0031 0.2639 0.9994
H 0.5385 0.0904 0.2559
H 0.4615 0.9096 0.7559
H 0.0385 0.4096 0.7559
H 0.9615 0.5904 0.2559
H 0.1610 0.7456 0.7375
H 0.8390 0.2544 0.2375
H 0.6610 0.7544 0.2375
H 0.3390 0.2456 0.7375
H 0.2355 0.9899 0.5951
H 0.7645 0.0101 0.0951
H 0.7355 0.5101 0.0951
H 0.2645 0.4899 0.5951
H 0.2505 0.9999 0.9043
H 0.7495 0.0001 0.4043
H 0.7505 0.5001 0.4043
H 0.2495 0.4999 0.9043
O 0.4845 0.7675 0.7770
O 0.5155 0.2325 0.2770
O 0.9845 0.7325 0.2770
O 0.0155 0.2675 0.7770
O 0.5207 0.7897 0.2203
O 0.4793 0.2103 0.7203
O 0.0207 0.7103 0.7203
O 0.9793 0.2897 0.2203
O 0.6982 0.5513 0.9957
O 0.3018 0.4487 0.4957
O 0.1982 0.9487 0.4957
O 0.8018 0.0513 0.9957
O 0.2848 0.9632 0.0060
O 0.7152 0.0368 0.5060
O 0.7848 0.5368 0.5060
O 0.2152 0.4632 0.0060

space-group type = No. 33
total magnetic moment = 1.00 μB per formula unit
energy relative to the elements = -1443 kJ/mol of formula units

---

| no. | DFT total energy (Ha/atom) |
| --- | --- |
| 1 | -0.1869 |
| 2 | -0.2495 |
| 3 | -0.2859 |
| 4 | -0.2269 |
| 5 | -0.2494 |
| 6 | -0.1145 |
| 7 | -0.3733 |
| 8 | -0.1748 |